Record 1
A relaxed structure of CuI2O6, computed with GGA-PBE.

- E (MP2020) (eV for the cell shown) = -88.515
- ΔH_f (0 K) (eV/f.u.) = -7.42

Lattice parameters (Å, degrees): 6.3441 5.1045 8.3655 87.71 90.00 90.00
Atoms (fractional coordinates):
O 0.2500 0.8094 0.5998
O 0.0300 0.2638 0.6908
O 0.7500 0.6345 0.6169
O 0.0340 0.2529 0.0992
O 0.5340 0.7471 0.9008
O 0.9700 0.7362 0.3092
O 0.4700 0.2638 0.6908
O 0.2500 0.3655 0.3831
O 0.9660 0.7471 0.9008
O 0.5300 0.7362 0.3092
O 0.4660 0.2529 0.0992
O 0.7500 0.1906 0.4002
I 0.7500 0.9613 0.2420
I 0.2500 0.0387 0.7580
I 0.2500 0.4667 0.1583
I 0.7500 0.5333 0.8417
Cu 0.0000 0.5000 0.5000
Cu 0.5000 0.5000 0.5000

***

Record 2
A relaxed structure of MgSi2, computed with GGA-PBE.

- E (MP2020) (eV for the cell shown) = -47.833
- ΔH_f (0 K) (eV/f.u.) = 0.49

Lattice parameters (Å, degrees): 12.0689 12.0689 5.3292 82.96 82.96 17.68
Atoms (fractional coordinates):
Si 0.1864 0.1864 0.2745
Si 0.8136 0.8136 0.7255
Si 0.3510 0.3510 0.4715
Si 0.9564 0.9564 0.1284
Si 0.6490 0.6490 0.5285
Si 0.5426 0.5426 0.6021
Si 0.4574 0.4574 0.3979
Si 0.0436 0.0436 0.8716
Mg 0.3884 0.3884 0.9339
Mg 0.2199 0.2199 0.7622
Mg 0.7801 0.7801 0.2378
Mg 0.6116 0.6116 0.0661

***

Record 3
A relaxed structure of K3Er, computed with GGA-PBE.

- ΔH_f (0 K) (eV/f.u.) = 2.35

Lattice parameters (Å, degrees): 6.8724 6.8724 6.8724 60.00 60.00 60.00
Atoms (fractional coordinates):
Er 0.0000 0.0000 0.0000
K 0.2500 0.2500 0.2500
K 0.7500 0.7500 0.7500
K 0.5000 0.5000 0.5000

***

Record 4
A relaxed structure of NaSi, computed with GGA-PBE.

- E (MP2020) (eV for the cell shown) = -53.587
- ΔH_f (0 K) (eV/f.u.) = 0.05

Lattice parameters (Å, degrees): 6.8998 6.8998 11.0646 65.02 65.02 56.96
Atoms (fractional coordinates):
Na 0.9878 0.3101 0.3582
Na 0.7250 0.5368 0.0480
Na 0.6899 0.0122 0.1418
Na 0.2750 0.4632 0.9520
Na 0.3101 0.9878 0.8582
Na 0.4632 0.2750 0.4520
Na 0.0122 0.6899 0.6418
Na 0.5368 0.7250 0.5480
Si 0.1360 0.0601 0.1423
Si 0.9399 0.8640 0.3577
Si 0.2310 0.6458 0.1872
Si 0.6458 0.2310 0.6872
Si 0.3542 0.7690 0.3128
Si 0.0601 0.1360 0.6423
Si 0.7690 0.3542 0.8128
Si 0.8640 0.9399 0.8577

***

Record 5
A relaxed structure of HoGeO3, computed with GGA-PBE.

- E (MP2020) (eV for the cell shown) = -35.828
- ΔH_f (0 K) (eV/f.u.) = -11.78

Lattice parameters (Å, degrees): 3.9049 3.9049 3.9049 90.00 90.00 90.00
Atoms (fractional coordinates):
O 0.5000 0.5000 0.0000
O 0.5000 0.0000 0.5000
O 0.0000 0.5000 0.5000
Ge 0.5000 0.5000 0.5000
Ho 0.0000 0.0000 0.0000

***

Record 6
A relaxed structure of CeSe2, computed with GGA-PBE.

- E (MP2020) (eV for the cell shown) = -410.826
- ΔH_f (0 K) (eV/f.u.) = -4.19

Lattice parameters (Å, degrees): 8.5183 16.3617 39.5791 81.79 83.82 74.91
Atoms (fractional coordinates):
Se 0.3948 0.0134 0.4856
Se 0.0086 0.6125 0.3942
Se 0.9194 0.2072 0.2463
Se 0.8634 0.3617 0.9335
Se 0.5000 0.7293 0.2598
Se 0.9847 0.1125 0.8942
Se 0.9214 0.6689 0.1814
Se 0.7406 0.9032 0.9333
Se 0.6478 0.4757 0.2200
Se 0.9857 0.9011 0.1127
Se 0.0430 0.1644 0.0788
Se 0.1502 0.6507 0.0730
Se 0.0662 0.3422 0.8262
Se 0.6271 0.7072 0.7463
Se 0.3384 0.1612 0.1665
Se 0.2540 0.8667 0.5838
Se 0.7138 0.6644 0.5788
Se 0.2798 0.8467 0.9153
Se 0.7654 0.8422 0.3262
Se 0.5860 0.1042 0.0645
Se 0.1260 0.1507 0.5730
Se 0.7330 0.6409 0.9107
Se 0.3648 0.5045 0.7675
Se 0.0858 0.7729 0.7595
Se 0.1062 0.5134 0.9856
Se 0.5900 0.5217 0.0147
Se 0.2624 0.8178 0.3564
Se 0.8414 0.8617 0.4335
Se 0.6472 0.8687 0.8287
Se 0.8736 0.0217 0.5147
Se 0.9704 0.4997 0.5000
Se 0.9582 0.3467 0.4153
Se 0.6565 0.9757 0.7200
Se 0.3818 0.2729 0.2595
Se 0.2454 0.6042 0.5645
Se 0.4230 0.4032 0.4333
Se 0.3632 0.0045 0.2675
Se 0.6555 0.3687 0.3287
Se 0.2282 0.1689 0.6814
Se 0.0298 0.9997 0.0000
Se 0.3338 0.6612 0.6665
Se 0.4139 0.7054 0.1533
Se 0.5109 0.2293 0.7598
Se 0.0005 0.4011 0.6127
Se 0.7275 0.2054 0.6533
Se 0.5634 0.3178 0.8564
Se 0.2956 0.3667 0.0838
Se 0.7154 0.1409 0.4107
Ce 0.9829 0.5385 0.5642
Ce 0.0081 0.9635 0.9359
Ce 0.7080 0.0097 0.4612
Ce 0.3163 0.1965 0.0979
Ce 0.0925 0.4635 0.4359
Ce 0.9695 0.7831 0.3773
Ce 0.1657 0.0117 0.5394
Ce 0.8702 0.2831 0.8773
Ce 0.2493 0.1622 0.2343
Ce 0.6849 0.3127 0.3968
Ce 0.8212 0.5097 0.9612
Ce 0.2833 0.5117 0.0394
Ce 0.0246 0.2313 0.6300
Ce 0.6512 0.3303 0.2636
Ce 0.6057 0.8127 0.8968
Ce 0.3749 0.3485 0.8027
Ce 0.5294 0.1461 0.7041
Ce 0.3893 0.6965 0.5979
Ce 0.7549 0.8303 0.7636
Ce 0.1141 0.7313 0.1300
Ce 0.4739 0.8485 0.3027
Ce 0.6204 0.6461 0.2041
Ce 0.9144 0.0385 0.0642
Ce 0.3542 0.6622 0.7343

***

Record 7
A relaxed structure of YC4NO9, computed with GGA-PBE.

- E (MP2020) (eV for the cell shown) = -233.930
- ΔH_f (0 K) (eV/f.u.) = -20.72

Lattice parameters (Å, degrees): 5.6679 8.5978 12.0808 57.76 90.00 90.00
Atoms (fractional coordinates):
C 0.0910 0.5790 0.9775
C 0.2168 0.9678 0.0905
C 0.7832 0.0322 0.9095
C 0.2168 0.0322 0.4095
C 0.0910 0.4210 0.5225
C 0.9090 0.4210 0.0225
C 0.7832 0.9678 0.5905
C 0.9090 0.5790 0.4775
O 0.7999 0.6308 0.3720
O 0.2809 0.1031 0.9956
O 0.1124 0.3574 0.4494
O 0.7191 0.1031 0.4956
O 0.8876 0.6426 0.5506
O 0.7191 0.8969 0.0044
O 0.2809 0.8969 0.5044
O 0.2001 0.6308 0.8720
O 0.2001 0.3692 0.6280
O 0.8523 0.8339 0.6853
O 0.5419 0.5000 0.2500
O 0.4581 0.5000 0.7500
O 0.7999 0.3692 0.1280
O 0.8523 0.1661 0.8147
O 0.1477 0.1661 0.3147
O 0.1124 0.6426 0.0506
O 0.1477 0.8339 0.1853
O 0.8876 0.3574 0.9494
Y 0.9142 0.5000 0.2500
Y 0.0858 0.5000 0.7500
N 0.5614 0.0000 0.2500
N 0.4386 0.0000 0.7500

***

Record 8
A relaxed structure of LuI3O9, computed with GGA-PBE.

- E (MP2020) (eV for the cell shown) = -292.043
- ΔH_f (0 K) (eV/f.u.) = -19.39

Lattice parameters (Å, degrees): 6.1946 8.7106 16.6089 65.14 90.00 90.00
Atoms (fractional coordinates):
O 0.6485 0.6231 0.5221
O 0.6497 0.3815 0.9781
O 0.0973 0.5955 0.3310
O 0.0265 0.1229 0.6134
O 0.3219 0.1566 0.2564
O 0.9201 0.1569 0.8901
O 0.1497 0.6185 0.5219
O 0.4851 0.1396 0.6368
O 0.4388 0.1506 0.9377
O 0.9735 0.8771 0.3866
O 0.5265 0.8771 0.8866
O 0.0799 0.8431 0.1099
O 0.3515 0.3769 0.4779
O 0.6781 0.8434 0.7436
O 0.5799 0.1569 0.3901
O 0.8503 0.3815 0.4781
O 0.1781 0.1566 0.7564
O 0.9388 0.8494 0.5623
O 0.8515 0.6231 0.0221
O 0.5434 0.5614 0.3184
O 0.4735 0.1229 0.1134
O 0.1485 0.3769 0.9779
O 0.9027 0.4045 0.6690
O 0.8219 0.8434 0.2436
O 0.4201 0.8431 0.6099
O 0.5149 0.8604 0.3632
O 0.4027 0.5955 0.8310
O 0.0434 0.4386 0.1816
O 0.0149 0.1396 0.1368
O 0.5612 0.8494 0.0623
O 0.9851 0.8604 0.8632
O 0.4566 0.4386 0.6816
O 0.3503 0.6185 0.0219
O 0.0612 0.1506 0.4377
O 0.9566 0.5614 0.8184
O 0.5973 0.4045 0.1690
I 0.3040 0.4256 0.3619
I 0.4069 0.9164 0.6985
I 0.0931 0.9164 0.1985
I 0.3518 0.8499 0.9818
I 0.8518 0.1501 0.5182
I 0.1960 0.4256 0.8619
I 0.6960 0.5744 0.6381
I 0.8040 0.5744 0.1381
I 0.1482 0.8499 0.4818
I 0.5931 0.0836 0.3015
I 0.6482 0.1501 0.0182
I 0.9069 0.0836 0.8015
Lu 0.2185 0.3493 0.6096
Lu 0.2815 0.3493 0.1096
Lu 0.7185 0.6507 0.8904
Lu 0.7815 0.6507 0.3904